(1)
DFT (PBE with a Hubbard U) results for a relaxed Li7VO4F2 crystal.

The value obtained for the total magnetization is 8.00 μB per cell. The theoretical density is 2.52 g/cm³. The formation energy is -2406 meV/atom.

Lattice parameters (Å, degrees): 5.420 5.952 18.580 92.22 95.75 63.00
Atoms (fractional coordinates):
Li 0.523 0.993 0.376
Li 0.023 0.493 0.876
Li 0.205 0.342 0.033
Li 0.705 0.841 0.533
Li 0.622 0.953 0.095
Li 0.123 0.453 0.595
Li 0.122 0.782 0.156
Li 0.623 0.282 0.656
Li 0.546 0.377 0.223
Li 0.046 0.877 0.723
Li 0.747 0.253 0.374
Li 0.247 0.753 0.874
Li 0.423 0.590 0.054
Li 0.924 0.090 0.554
Li 0.070 0.910 0.442
Li 0.570 0.411 0.942
Li 0.811 0.253 0.124
Li 0.312 0.753 0.624
Li 0.973 0.066 0.273
Li 0.473 0.566 0.773
Li 0.327 0.706 0.335
Li 0.827 0.206 0.835
Li 0.869 0.583 0.410
Li 0.369 0.083 0.910
Li 0.281 0.166 0.480
Li 0.781 0.666 0.980
Li 0.162 0.332 0.300
Li 0.662 0.832 0.800
V 0.002 0.000 0.999
V 0.214 0.288 0.756
V 0.502 0.499 0.499
V 0.714 0.789 0.256
O 0.477 0.799 0.444
O 0.976 0.299 0.944
O 0.347 0.982 0.283
O 0.848 0.482 0.783
O 0.761 0.028 0.191
O 0.262 0.527 0.691
O 0.889 0.891 0.349
O 0.389 0.391 0.849
O 0.610 0.227 0.030
O 0.110 0.727 0.530
O 0.893 0.284 0.470
O 0.393 0.784 0.970
O 0.768 0.458 0.302
O 0.268 0.958 0.802
O 0.022 0.709 0.055
O 0.522 0.209 0.555
F 0.174 0.104 0.093
F 0.674 0.604 0.593
F 0.569 0.604 0.152
F 0.069 0.104 0.652
F 0.173 0.557 0.237
F 0.673 0.057 0.737
F 0.353 0.359 0.398
F 0.853 0.859 0.898


(2)
DFT (PBE with a Hubbard U) results for a relaxed Li9Mn7O16 crystal.

The value obtained for the total magnetization is 26.00 μB per cell. The theoretical density is 3.93 g/cm³. The formation energy is -2135 meV/atom.

Lattice parameters (Å, degrees): 5.048 6.057 9.942 101.66 92.78 93.02
Atoms (fractional coordinates):
Li 0.871 0.558 0.248
Li 0.129 0.442 0.752
Li 0.378 0.316 0.247
Li 0.870 0.064 0.247
Li 0.130 0.936 0.753
Li 0.379 0.805 0.244
Li 0.622 0.684 0.753
Li 0.621 0.195 0.756
Li 0.500 0.500 0.000
Mn 0.001 0.742 0.001
Mn 0.999 0.258 0.999
Mn 0.250 0.625 0.499
Mn 0.750 0.375 0.501
Mn 0.250 0.125 0.500
Mn 0.500 0.000 0.000
Mn 0.750 0.875 0.500
O 0.684 0.803 0.105
O 0.946 0.638 0.617
O 0.162 0.529 0.115
O 0.693 0.264 0.113
O 0.948 0.138 0.617
O 0.193 0.021 0.111
O 0.447 0.887 0.616
O 0.447 0.389 0.619
O 0.054 0.362 0.383
O 0.316 0.197 0.895
O 0.553 0.113 0.384
O 0.052 0.862 0.383
O 0.307 0.736 0.887
O 0.553 0.611 0.381
O 0.838 0.471 0.885
O 0.807 0.979 0.889


(3)
DFT (PBE with a Hubbard U) results for a relaxed LiMn2P5O15 crystal.

The value obtained for the total magnetization is 20.00 μB per cell. The theoretical density is 2.82 g/cm³. The formation energy is -2581 meV/atom.

Lattice parameters (Å, degrees): 9.039 5.344 13.391 68.44 90.00 90.00
Atoms (fractional coordinates):
Li 0.013 0.084 0.971
Li 0.987 0.084 0.471
Mn 0.308 0.954 0.427
Mn 0.689 0.042 0.575
Mn 0.692 0.954 0.927
Mn 0.311 0.042 0.075
P 0.191 0.337 0.579
P 0.809 0.337 0.079
P 0.813 0.664 0.420
P 0.482 0.541 0.854
P 0.483 0.456 0.647
P 0.518 0.541 0.354
P 0.187 0.664 0.920
P 0.023 0.004 0.249
P 0.977 0.004 0.749
P 0.517 0.456 0.147
O 0.508 0.734 0.060
O 0.165 0.365 0.974
O 0.900 0.090 0.832
O 0.889 0.923 0.672
O 0.173 0.156 0.517
O 0.490 0.265 0.942
O 0.619 0.282 0.671
O 0.416 0.496 0.751
O 0.171 0.634 0.523
O 0.829 0.843 0.483
O 0.510 0.265 0.442
O 0.827 0.156 0.017
O 0.383 0.718 0.329
O 0.090 0.244 0.686
O 0.829 0.634 0.023
O 0.352 0.724 0.872
O 0.381 0.282 0.171
O 0.088 0.757 0.812
O 0.835 0.365 0.474
O 0.355 0.271 0.629
O 0.584 0.496 0.251
O 0.912 0.757 0.312
O 0.617 0.718 0.829
O 0.111 0.923 0.172
O 0.100 0.090 0.332
O 0.492 0.734 0.560
O 0.171 0.843 0.983
O 0.648 0.724 0.372
O 0.910 0.244 0.186
O 0.645 0.271 0.129


(4)
DFT (PBE with a Hubbard U) results for a relaxed MgZn2Mo3O8 crystal.

The value obtained for the total magnetization is 8.00 μB per cell. The theoretical density is 5.45 g/cm³. The formation energy is -1932 meV/atom.

Lattice parameters (Å, degrees): 5.591 6.341 6.992 118.33 122.74 88.72
Atoms (fractional coordinates):
Mg 0.455 0.749 0.515
Zn 0.745 0.659 0.318
Zn 0.270 0.317 0.642
Mo 0.514 0.020 0.037
Mo 0.000 0.733 0.986
Mo 0.992 0.249 0.987
O 0.004 0.394 0.769
O 0.018 0.625 0.234
O 0.996 0.871 0.756
O 0.991 0.111 0.227
O 0.475 0.392 0.247
O 0.458 0.865 0.240
O 0.513 0.112 0.773
O 0.533 0.654 0.779


(5)
DFT (PBE with a Hubbard U) results for a relaxed NaW10O30 crystal.

The value obtained for the total magnetization is 0.20 μB per cell. The theoretical density is 6.70 g/cm³. The formation energy is -2193 meV/atom.

Lattice parameters (Å, degrees): 6.705 6.705 13.982 80.56 80.56 70.37
Atoms (fractional coordinates):
Na 0.301 0.699 0.500
W 0.396 0.295 0.094
W 0.196 0.095 0.896
W 0.308 0.199 0.504
W 0.101 0.010 0.302
W 0.705 0.604 0.906
W 0.502 0.406 0.707
W 0.905 0.804 0.104
W 0.594 0.498 0.293
W 0.990 0.899 0.698
W 0.801 0.692 0.496
O 0.350 0.251 0.800
O 0.950 0.350 0.900
O 0.497 0.399 0.199
O 0.298 0.199 0.998
O 0.099 0.999 0.798
O 0.448 0.354 0.401
O 0.249 0.150 0.200
O 0.450 0.850 0.900
O 0.850 0.751 0.800
O 0.050 0.950 0.000
O 0.650 0.050 0.100
O 0.848 0.251 0.301
O 0.203 0.096 0.402
O 0.801 0.702 0.002
O 0.601 0.503 0.801
O 0.001 0.901 0.202
O 0.400 0.305 0.600
O 0.150 0.550 0.100
O 0.153 0.045 0.599
O 0.749 0.650 0.200
O 0.349 0.750 0.302
O 0.550 0.450 0.000
O 0.749 0.152 0.699
O 0.955 0.847 0.401
O 0.550 0.946 0.500
O 0.695 0.600 0.400
O 0.904 0.797 0.598
O 0.054 0.450 0.500
O 0.250 0.651 0.698
O 0.646 0.552 0.599


(6)
DFT (PBE with a Hubbard U) results for a relaxed Li9Mn2Co5O16 crystal.

The value obtained for the total magnetization is 2.00 μB per cell. The theoretical density is 4.20 g/cm³. The formation energy is -1752 meV/atom.

Lattice parameters (Å, degrees): 5.909 6.487 7.739 88.98 98.11 103.00
Atoms (fractional coordinates):
Li 0.131 0.133 0.386
Li 0.611 0.615 0.861
Li 0.369 0.867 0.620
Li 0.875 0.379 0.129
Li 0.627 0.136 0.382
Li 0.124 0.617 0.869
Li 0.878 0.872 0.622
Li 0.385 0.381 0.132
Li 0.497 0.498 0.501
Mn 0.002 0.001 0.000
Mn 0.254 0.749 0.253
Co 0.742 0.251 0.742
Co 0.502 0.001 0.000
Co 0.996 0.501 0.505
Co 0.751 0.749 0.255
Co 0.251 0.249 0.745
O 0.820 0.041 0.181
O 0.298 0.536 0.687
O 0.079 0.808 0.430
O 0.575 0.291 0.939
O 0.297 0.049 0.168
O 0.822 0.557 0.686
O 0.543 0.811 0.408
O 0.063 0.290 0.928
O 0.433 0.187 0.581
O 0.959 0.710 0.080
O 0.709 0.943 0.838
O 0.181 0.460 0.312
O 0.918 0.189 0.564
O 0.426 0.709 0.064
O 0.183 0.955 0.821
O 0.700 0.465 0.313


> Which of these has the lowest total magnetization?

NaW10O30


> Which value of theoretical density does entry 3 give?

2.82 g/cm³